Crystalline Rb6LiPr11Se12Cl16O36 at its relaxed geometry, computed with GGA-PBE.

Results
Space-group type ... No. 140
E ... -5.737 eV/atom
Energy of formation from the pure elements ... -2258 meV per atom

Structure (POSCAR):
```
Rb6LiPr11Se12Cl16O36
1.0
-8.058 8.058 12.600
8.058 -8.058 12.600
8.058 8.058 -12.600
Rb Li Pr Se Cl O
12 2 22 24 32 72
Direct
0.120 0.871 0.991 Rb
0.124 0.376 0.500 Rb
0.129 0.120 0.249 Rb
0.371 0.620 0.991 Rb
0.376 0.876 0.253 Rb
0.380 0.371 0.751 Rb
0.620 0.629 0.249 Rb
0.624 0.124 0.747 Rb
0.629 0.380 0.009 Rb
0.871 0.880 0.751 Rb
0.876 0.624 0.500 Rb
0.880 0.129 0.009 Rb
0.250 0.750 0.500 Li
0.750 0.250 0.500 Li
0.000 0.000 0.500 Pr
0.000 0.500 0.000 Pr
0.002 0.502 0.257 Pr
0.007 0.750 0.257 Pr
0.245 0.745 0.743 Pr
0.250 0.250 0.000 Pr
0.250 0.507 0.257 Pr
0.250 0.993 0.743 Pr
0.255 0.998 0.500 Pr
0.493 0.750 0.743 Pr
0.498 0.755 0.500 Pr
0.500 0.000 0.000 Pr
0.500 0.500 0.500 Pr
0.502 0.245 0.500 Pr
0.507 0.250 0.257 Pr
0.745 0.002 0.500 Pr
0.750 0.007 0.257 Pr
0.750 0.493 0.743 Pr
0.750 0.750 0.000 Pr
0.755 0.255 0.257 Pr
0.993 0.250 0.743 Pr
0.998 0.498 0.743 Pr
0.010 0.038 0.729 Se
0.038 0.310 0.028 Se
0.064 0.779 0.500 Se
0.190 0.462 0.972 Se
0.219 0.190 0.729 Se
0.221 0.721 0.285 Se
0.279 0.564 0.500 Se
0.281 0.010 0.972 Se
0.310 0.281 0.271 Se
0.436 0.936 0.715 Se
0.462 0.490 0.271 Se
0.490 0.219 0.028 Se
0.510 0.781 0.972 Se
0.538 0.510 0.729 Se
0.564 0.064 0.285 Se
0.690 0.719 0.729 Se
0.719 0.990 0.028 Se
0.721 0.436 0.500 Se
0.779 0.279 0.715 Se
0.781 0.810 0.271 Se
0.810 0.538 0.028 Se
0.936 0.221 0.500 Se
0.962 0.690 0.972 Se
0.990 0.962 0.271 Se
0.068 0.340 0.258 Cl
0.076 0.576 0.500 Cl
0.077 0.077 0.000 Cl
0.082 0.810 0.742 Cl
0.160 0.432 0.742 Cl
0.163 0.663 0.978 Cl
0.185 0.163 0.500 Cl
0.190 0.932 0.272 Cl
0.310 0.582 0.742 Cl
0.316 0.815 0.978 Cl
0.337 0.315 0.500 Cl
0.340 0.082 0.272 Cl
0.418 0.160 0.728 Cl
0.423 0.423 0.000 Cl
0.424 0.924 0.500 Cl
0.432 0.690 0.272 Cl
0.568 0.310 0.728 Cl
0.576 0.076 0.500 Cl
0.577 0.577 0.000 Cl
0.582 0.840 0.272 Cl
0.660 0.918 0.728 Cl
0.663 0.685 0.500 Cl
0.684 0.185 0.022 Cl
0.690 0.418 0.258 Cl
0.810 0.068 0.728 Cl
0.815 0.837 0.500 Cl
0.837 0.337 0.022 Cl
0.840 0.568 0.258 Cl
0.918 0.190 0.258 Cl
0.923 0.923 0.000 Cl
0.924 0.424 0.500 Cl
0.932 0.660 0.742 Cl
0.010 0.681 0.087 O
0.059 0.436 0.130 O
0.064 0.441 0.870 O
0.064 0.688 0.381 O
0.071 0.941 0.378 O
0.075 0.161 0.837 O
0.077 0.990 0.672 O
0.094 0.874 0.500 O
0.095 0.181 0.672 O
0.126 0.626 0.220 O
0.161 0.324 0.086 O
0.176 0.339 0.914 O
0.181 0.510 0.087 O
0.183 0.806 0.619 O
0.188 0.564 0.381 O
0.194 0.064 0.622 O
0.194 0.812 0.376 O
0.237 0.075 0.914 O
0.263 0.176 0.837 O
0.306 0.683 0.619 O
0.306 0.929 0.870 O
0.312 0.694 0.376 O
0.317 0.936 0.624 O
0.319 0.405 0.328 O
0.324 0.237 0.163 O
0.339 0.425 0.163 O
0.374 0.594 0.500 O
0.405 0.077 0.087 O
0.406 0.906 0.780 O
0.423 0.095 0.913 O
0.425 0.263 0.086 O
0.429 0.806 0.870 O
0.436 0.306 0.378 O
0.436 0.817 0.624 O
0.441 0.571 0.378 O
0.490 0.577 0.672 O
0.510 0.423 0.328 O
0.559 0.429 0.622 O
0.564 0.183 0.376 O
0.564 0.694 0.622 O
0.571 0.194 0.130 O
0.575 0.737 0.914 O
0.577 0.905 0.087 O
0.594 0.094 0.220 O
0.595 0.923 0.913 O
0.626 0.406 0.500 O
0.661 0.575 0.837 O
0.676 0.763 0.837 O
0.681 0.595 0.672 O
0.683 0.064 0.376 O
0.688 0.306 0.624 O
0.694 0.071 0.130 O
0.694 0.317 0.381 O
0.737 0.824 0.163 O
0.763 0.925 0.086 O
0.806 0.188 0.624 O
0.806 0.936 0.378 O
0.812 0.436 0.619 O
0.817 0.194 0.381 O
0.819 0.490 0.913 O
0.824 0.661 0.086 O
0.839 0.676 0.914 O
0.874 0.374 0.780 O
0.905 0.819 0.328 O
0.906 0.126 0.500 O
0.923 0.010 0.328 O
0.925 0.839 0.163 O
0.929 0.059 0.622 O
0.936 0.312 0.619 O
0.936 0.559 0.130 O
0.941 0.564 0.870 O
0.990 0.319 0.913 O
```

Crystalline Li2CeAs2 at its relaxed geometry, computed with GGA-PBE.

Results
Space-group type ... No. 164
E ... -4.801 eV/atom
Energy of formation from the pure elements ... -987 meV per atom

Structure (POSCAR):
```
Li2CeAs2
1.0
4.278 0.000 0.000
-2.139 3.705 0.000
0.000 0.000 6.848
Li Ce As
2 1 2
Direct
0.333 0.667 0.124 Li
0.667 0.333 0.876 Li
0.000 0.000 0.500 Ce
0.333 0.667 0.732 As
0.667 0.333 0.268 As
```

Crystalline Pu3Th at its relaxed geometry, computed with GGA-PBE.

Results
Space-group type ... No. 194
E ... -12.345 eV/atom
Energy of formation from the pure elements ... 209 meV per atom
Excess energy over the best structure of this formula in the dataset ... 0.0 meV/atom

Structure (POSCAR):
```
Pu3Th
1.0
6.896 0.000 0.000
-3.448 5.972 0.000
0.000 0.000 5.439
Pu Th
6 2
Direct
0.164 0.327 0.250 Pu
0.164 0.836 0.250 Pu
0.327 0.164 0.750 Pu
0.673 0.836 0.250 Pu
0.836 0.164 0.750 Pu
0.836 0.673 0.750 Pu
0.333 0.667 0.750 Th
0.667 0.333 0.250 Th
```

Crystalline InAs2PbO8 at its relaxed geometry, computed with GGA-PBE.

Results
Space-group type ... No. 14
E ... -5.821 eV/atom
Energy of formation from the pure elements ... -1665 meV per atom

Structure (POSCAR):
```
InAs2PbO8
1.0
5.091 0.000 0.000
0.000 8.618 0.000
-4.165 0.000 15.908
In As Pb O
4 8 4 32
Direct
0.196 0.047 0.358 In
0.196 0.453 0.858 In
0.804 0.547 0.142 In
0.804 0.953 0.642 In
0.191 0.705 0.017 As
0.191 0.795 0.517 As
0.421 0.736 0.263 As
0.421 0.764 0.763 As
0.579 0.236 0.237 As
0.579 0.264 0.737 As
0.809 0.205 0.483 As
0.809 0.295 0.983 As
0.276 0.021 0.881 Pb
0.276 0.479 0.381 Pb
0.724 0.521 0.619 Pb
0.724 0.979 0.119 Pb
0.068 0.233 0.432 O
0.068 0.267 0.932 O
0.079 0.661 0.912 O
0.079 0.839 0.412 O
0.193 0.582 0.234 O
0.193 0.918 0.734 O
0.252 0.590 0.753 O
0.252 0.910 0.253 O
0.338 0.610 0.519 O
0.338 0.890 0.019 O
0.356 0.247 0.801 O
0.356 0.253 0.301 O
0.388 0.556 0.066 O
0.388 0.944 0.566 O
0.425 0.174 0.136 O
0.425 0.326 0.636 O
0.575 0.674 0.364 O
0.575 0.826 0.864 O
0.612 0.056 0.434 O
0.612 0.444 0.934 O
0.644 0.747 0.699 O
0.644 0.753 0.199 O
0.662 0.110 0.981 O
0.662 0.390 0.481 O
0.748 0.090 0.747 O
0.748 0.410 0.247 O
0.807 0.082 0.266 O
0.807 0.418 0.766 O
0.921 0.161 0.588 O
0.921 0.339 0.088 O
0.932 0.733 0.068 O
0.932 0.767 0.568 O
```

Crystalline Tm2Fe17H3 at its relaxed geometry, computed with GGA-PBE.

Results
Space-group type ... No. 194
E ... -7.482 eV/atom
Energy of formation from the pure elements ... -92 meV per atom

Structure (POSCAR):
```
Tm2Fe17H3
1.0
8.488 0.000 0.000
-4.244 7.351 0.000
0.000 0.000 8.253
Tm Fe H
4 34 6
Direct
0.000 0.000 0.250 Tm
0.000 0.000 0.750 Tm
0.333 0.667 0.250 Tm
0.667 0.333 0.750 Tm
0.000 0.500 0.000 Fe
0.000 0.500 0.500 Fe
0.047 0.376 0.750 Fe
0.047 0.671 0.750 Fe
0.166 0.333 0.017 Fe
0.166 0.333 0.483 Fe
0.166 0.834 0.017 Fe
0.166 0.834 0.483 Fe
0.329 0.376 0.750 Fe
0.329 0.953 0.750 Fe
0.333 0.166 0.517 Fe
0.333 0.166 0.983 Fe
0.333 0.667 0.604 Fe
0.333 0.667 0.896 Fe
0.376 0.047 0.250 Fe
0.376 0.329 0.250 Fe
0.500 0.000 0.000 Fe
0.500 0.000 0.500 Fe
0.500 0.500 0.000 Fe
0.500 0.500 0.500 Fe
0.624 0.671 0.750 Fe
0.624 0.953 0.750 Fe
0.667 0.333 0.104 Fe
0.667 0.333 0.396 Fe
0.667 0.834 0.017 Fe
0.667 0.834 0.483 Fe
0.671 0.047 0.250 Fe
0.671 0.624 0.250 Fe
0.834 0.166 0.517 Fe
0.834 0.166 0.983 Fe
0.834 0.667 0.517 Fe
0.834 0.667 0.983 Fe
0.953 0.329 0.250 Fe
0.953 0.624 0.250 Fe
0.165 0.329 0.250 H
0.165 0.835 0.250 H
0.329 0.165 0.750 H
0.671 0.835 0.250 H
0.835 0.165 0.750 H
0.835 0.671 0.750 H
```

Crystalline SrSb2O6 at its relaxed geometry, computed with GGA-PBE.

Results
Space-group type ... No. 162
E ... -6.333 eV/atom
Energy of formation from the pure elements ... -2387 meV per atom
Excess energy over the best structure of this formula in the dataset ... 0.0 meV/atom

Structure (POSCAR):
```
SrSb2O6
1.0
5.354 0.000 0.000
-2.677 4.636 0.000
0.000 0.000 5.463
Sr Sb O
1 2 6
Direct
0.000 0.000 0.000 Sr
0.333 0.667 0.500 Sb
0.667 0.333 0.500 Sb
0.000 0.377 0.294 O
0.000 0.623 0.706 O
0.377 0.000 0.294 O
0.377 0.377 0.706 O
0.623 0.000 0.706 O
0.623 0.623 0.294 O
```

Crystalline K2B5H5O11 at its relaxed geometry, computed with GGA-PBE.

Results
Space-group type ... No. 33
E ... -6.620 eV/atom
Energy of formation from the pure elements ... -2296 meV per atom

Structure (POSCAR):
```
K2B5H5O11
1.0
12.575 0.000 0.000
0.000 6.757 0.000
0.000 0.000 11.666
K B H O
8 20 20 44
Direct
0.043 0.146 0.000 K
0.248 0.992 0.700 K
0.252 0.492 0.200 K
0.457 0.646 0.500 K
0.543 0.354 0.000 K
0.748 0.508 0.700 K
0.752 0.008 0.200 K
0.957 0.854 0.500 K
0.021 0.388 0.522 B
0.163 0.163 0.444 B
0.211 0.494 0.535 B
0.222 0.042 0.247 B
0.223 0.810 0.406 B
0.277 0.310 0.906 B
0.278 0.542 0.747 B
0.289 0.994 0.035 B
0.337 0.663 0.944 B
0.479 0.888 0.022 B
0.521 0.112 0.522 B
0.663 0.337 0.444 B
0.711 0.006 0.535 B
0.722 0.458 0.247 B
0.723 0.690 0.406 B
0.777 0.190 0.906 B
0.778 0.958 0.747 B
0.789 0.506 0.035 B
0.837 0.837 0.944 B
0.979 0.612 0.022 B
0.006 0.228 0.284 H
0.016 0.864 0.227 H
0.064 0.686 0.681 H
0.071 0.295 0.746 H
0.139 0.662 0.015 H
0.361 0.162 0.515 H
0.429 0.795 0.246 H
0.436 0.186 0.181 H
0.484 0.364 0.727 H
0.494 0.728 0.784 H
0.506 0.272 0.284 H
0.516 0.636 0.227 H
0.564 0.814 0.681 H
0.571 0.205 0.746 H
0.639 0.838 0.015 H
0.861 0.338 0.515 H
0.929 0.705 0.246 H
0.936 0.314 0.181 H
0.984 0.136 0.727 H
0.994 0.772 0.784 H
0.002 0.249 0.776 O
0.047 0.807 0.726 O
0.049 0.216 0.468 O
0.085 0.564 0.041 O
0.095 0.522 0.561 O
0.176 0.949 0.475 O
0.178 0.184 0.317 O
0.227 0.078 0.132 O
0.235 0.286 0.512 O
0.240 0.617 0.433 O
0.243 0.363 0.794 O
0.257 0.863 0.294 O
0.260 0.117 0.933 O
0.265 0.786 0.012 O
0.273 0.578 0.632 O
0.322 0.684 0.817 O
0.324 0.449 0.975 O
0.405 0.022 0.061 O
0.415 0.064 0.541 O
0.451 0.716 0.968 O
0.453 0.307 0.226 O
0.498 0.749 0.276 O
0.502 0.251 0.776 O
0.547 0.693 0.726 O
0.549 0.284 0.468 O
0.585 0.936 0.041 O
0.595 0.978 0.561 O
0.676 0.551 0.475 O
0.678 0.316 0.317 O
0.727 0.422 0.132 O
0.735 0.214 0.512 O
0.740 0.883 0.433 O
0.743 0.137 0.794 O
0.757 0.637 0.294 O
0.760 0.383 0.933 O
0.765 0.714 0.012 O
0.773 0.922 0.632 O
0.822 0.816 0.817 O
0.824 0.051 0.975 O
0.905 0.478 0.061 O
0.915 0.436 0.541 O
0.951 0.784 0.968 O
0.953 0.193 0.226 O
0.998 0.751 0.276 O
```

Crystalline BaCaBO3F at its relaxed geometry, computed with GGA-PBE.

Results
Space-group type ... No. 1
E ... -6.995 eV/atom
Energy of formation from the pure elements ... -3447 meV per atom

Structure (POSCAR):
```
BaCaBO3F
1.0
4.489 0.000 0.000
0.115 8.901 0.000
0.022 4.404 7.986
Ba Ca B O F
3 3 3 9 3
Direct
0.000 0.000 0.000 Ba
0.008 0.306 0.404 Ba
0.065 0.725 0.696 Ba
0.501 0.015 0.312 Ca
0.502 0.625 0.088 Ca
0.550 0.391 0.700 Ca
0.501 0.015 0.700 B
0.519 0.345 0.028 B
0.522 0.674 0.372 B
0.394 0.030 0.551 O
0.405 0.879 0.850 O
0.506 0.202 0.003 O
0.512 0.508 0.396 O
0.519 0.813 0.211 O
0.523 0.322 0.190 O
0.528 0.510 0.890 O
0.534 0.703 0.510 O
0.698 0.134 0.699 O
0.000 0.629 0.088 F
0.053 0.404 0.689 F
0.999 0.011 0.312 F
```